Material: AuSe
Method: DFT, PBE
State: relaxed

a = 6.573 Å, b = 6.573 Å, c = 8.835 Å
α = 101.02°, β = 101.02°, γ = 33.53°
Fractional positions:
Au  0.032  0.032  0.287
Au  0.351  0.351  0.983
Au  0.649  0.649  0.017
Au  0.968  0.968  0.713
Se  0.333  0.333  0.699
Se  0.396  0.396  0.268
Se  0.604  0.604  0.732
Se  0.667  0.667  0.301

Computed properties:
The uncorrected energy is -3.476 eV per atom. As for the formation energy: -0.7 eV per formula unit.


Material: MgZr3
Method: DFT, PBE
State: relaxed

a = 5.532 Å, b = 5.532 Å, c = 5.532 Å
α = 132.52°, β = 132.52°, γ = 69.40°
Fractional positions:
Mg  0.000  0.000  0.000
Zr  0.250  0.750  0.500
Zr  0.500  0.500  0.000
Zr  0.750  0.250  0.500

Computed properties:
The uncorrected energy is -6.798 eV per atom. As for the formation energy: 0.0 eV per formula unit.


Material: BiOF
Method: DFT, PBE
State: relaxed

a = 5.677 Å, b = 11.801 Å, c = 11.629 Å
α = 90.00°, β = 90.00°, γ = 90.00°
Fractional positions:
Bi  0.230  0.031  0.138
Bi  0.230  0.469  0.638
Bi  0.245  0.748  0.384
Bi  0.245  0.752  0.884
Bi  0.255  0.248  0.384
Bi  0.255  0.252  0.884
Bi  0.270  0.531  0.138
Bi  0.270  0.969  0.638
Bi  0.730  0.031  0.362
Bi  0.730  0.469  0.862
Bi  0.745  0.748  0.116
Bi  0.745  0.752  0.616
Bi  0.755  0.248  0.116
Bi  0.755  0.252  0.616
Bi  0.770  0.531  0.362
Bi  0.770  0.969  0.862
O  0.006  0.131  0.266
O  0.006  0.369  0.766
O  0.041  0.152  0.021
O  0.041  0.348  0.521
O  0.459  0.652  0.021
O  0.459  0.848  0.521
O  0.494  0.631  0.266
O  0.494  0.869  0.766
O  0.506  0.131  0.234
O  0.506  0.369  0.734
O  0.541  0.152  0.479
O  0.541  0.348  0.979
O  0.959  0.652  0.479
O  0.959  0.848  0.979
O  0.994  0.631  0.234
O  0.994  0.869  0.734
F  0.020  0.111  0.756
F  0.020  0.389  0.256
F  0.035  0.117  0.496
F  0.035  0.383  0.996
F  0.465  0.617  0.496
F  0.465  0.883  0.996
F  0.480  0.611  0.756
F  0.480  0.889  0.256
F  0.520  0.111  0.744
F  0.520  0.389  0.244
F  0.535  0.117  0.004
F  0.535  0.383  0.504
F  0.965  0.617  0.004
F  0.965  0.883  0.504
F  0.980  0.611  0.744
F  0.980  0.889  0.244

Computed properties:
The uncorrected energy is -5.373 eV per atom. The calculation puts the magnetic moment at 0.000 μB per cell. As for the formation energy: -6.5 eV per formula unit.